# 1
First-principles (GGA-PBE) data for crystalline HoTa7O19 at its relaxed geometry, as listed in the Materials Project.

Cell and atoms, written as extended XYZ:
```
54
Lattice="-3.921 2.399 4.254 -1.600 -0.053 -6.056 -8.460 -18.067 2.392" Properties=species:S:1:pos:R:3 pbc="T T T"
O -7.053 -15.062 1.994
O -7.952 -12.653 2.892
O -6.278 -4.907 -0.739
O -5.917 -9.342 2.254
O -6.826 -6.209 3.993
Ta -7.797 -3.927 0.926
O -10.115 -11.887 1.022
O -12.111 -15.278 1.196
Ho -3.147 1.582 0.818
O -9.140 -14.522 0.904
Ta -6.196 -0.508 0.474
Ta -9.331 -10.212 0.482
O -8.804 -7.770 3.919
O -4.641 -1.410 -1.201
O -4.058 -3.630 0.422
O -10.411 -11.365 3.921
O -1.988 -0.319 -0.082
O -12.096 -14.801 4.850
O -8.619 -5.792 0.801
O -8.483 -9.813 2.326
O -6.272 -5.090 1.701
Ta 0.000 0.000 0.000
O -8.569 -15.127 -1.647
O -8.819 -8.247 0.265
Ta -3.112 -2.024 -0.065
O -5.327 1.239 -0.130
O -5.019 -2.825 3.104
O -3.942 -6.081 -1.343
Ta -8.496 -14.462 3.275
Ta -4.230 -9.034 1.196
O -2.305 -2.584 -1.805
Ta -5.679 -4.563 3.612
O -4.253 -0.780 1.130
O -1.407 -3.005 0.398
O -7.503 -11.025 0.441
Ta -11.451 -12.942 4.305
O -5.280 -7.349 0.849
O -5.702 -5.514 -3.288
O -4.064 -2.017 -3.751
O -6.931 -11.630 -2.110
O -9.266 -10.457 -1.501
Ho -7.378 -7.452 2.014
O -2.823 -6.028 0.798
O -6.710 -2.349 0.721
Ta -6.895 -11.043 2.822
O -3.534 0.822 3.062
O -10.903 -13.954 -1.038
Ta -9.850 -9.523 3.852
O -9.209 -16.373 3.185
O -5.637 -12.039 1.594
Ta -4.713 -5.443 0.388
Ta -10.932 -13.631 0.935
O -10.502 -14.124 2.897
Ta -4.078 -1.144 3.159
```

Energy of formation: -3.418 eV/atom
Uncorrected energy: -0.7101 Ry/atom
M_tot: 0.0 μB per cell

=====

# 2
First-principles (GGA-PBE) data for crystalline MnGe4H24C8S10N2 at its relaxed geometry, as listed in the Materials Project.

Cell and atoms, written as extended XYZ:
```
49
Lattice="8.595 0.554 5.082 -0.771 9.870 1.412 -7.303 -6.314 2.608" Properties=species:S:1:pos:R:3 pbc="T T T"
S -1.266 -2.647 5.693
S -2.936 6.672 3.579
N 2.602 -0.274 5.468
S 0.015 3.748 4.717
H -6.444 2.283 3.562
H 4.626 0.252 5.537
S -2.798 -0.042 3.520
H 0.539 -0.545 5.072
Ge 1.898 4.515 3.904
Ge -3.480 1.071 5.362
C 1.398 -0.043 4.613
H -1.164 4.097 7.824
S -1.641 3.910 1.277
H 0.889 5.254 7.358
H 2.305 7.749 5.957
H 1.414 0.091 1.552
C 2.350 0.266 6.839
Ge -2.761 -2.250 4.049
H -0.111 -0.801 1.957
H -0.111 0.997 1.862
S -3.760 3.206 4.961
H 3.966 0.000 3.870
S 3.358 4.204 5.614
C 1.061 2.840 8.519
C 1.913 -4.578 7.013
H 1.985 -2.211 5.968
H 1.613 -0.478 3.635
H -5.360 -0.477 2.377
H -0.680 7.757 1.366
H -6.367 4.683 3.482
H 0.777 2.820 7.461
C 2.879 -1.741 5.554
C 0.323 0.075 1.460
H 3.752 -1.896 6.201
Mn -2.081 4.384 3.633
S 2.496 3.325 2.071
H 6.708 1.484 5.326
H 1.508 -3.679 7.490
S 1.748 6.705 3.376
H 1.470 -0.239 7.260
C 7.111 0.566 4.881
H 3.559 1.492 4.797
H 1.219 1.038 4.543
C 3.781 0.421 4.867
N 0.000 0.000 0.000
H 6.709 -0.329 5.369
H 2.184 1.340 6.734
Ge 5.385 4.883 4.888
S 5.328 7.099 4.422
```

Energy of formation: -0.345 eV/atom
Uncorrected energy: -0.3781 Ry/atom
M_tot: 5.0 μB per cell

=====

# 3
First-principles (GGA-PBE) data for crystalline Si7SnN10 at its relaxed geometry, as listed in the Materials Project.

Cell and atoms, written as extended XYZ:
```
36
Lattice="-6.643 1.679 0.082 -1.587 -6.158 -2.490 1.886 -4.000 8.690" Properties=species:S:1:pos:R:3 pbc="T T T"
N -4.197 -6.276 1.985
N -4.545 -1.051 2.467
N -0.373 -4.243 2.733
Si -1.854 -3.393 2.408
N -1.346 -5.509 5.075
N -5.697 -4.911 4.013
Si -3.109 -5.098 7.769
N -1.264 -0.895 -0.096
N -1.380 -7.005 2.587
N 0.339 -7.142 6.714
N -2.282 -3.482 0.740
N -1.849 -2.675 5.574
Si -2.993 -0.550 2.811
N -4.004 -5.374 -0.671
Si -0.596 -5.797 3.518
N -3.763 -4.684 6.202
Sn -5.292 -1.023 5.867
Si -2.508 -4.210 5.101
N -1.598 -1.731 2.871
N -2.094 -3.775 8.150
Si -2.930 -7.480 2.102
N -6.234 -1.335 0.305
Si -5.632 -2.152 1.820
Si -1.284 -6.840 6.168
N -4.675 -7.217 5.127
Si -4.483 -4.772 2.747
N -1.831 -8.292 5.372
N -4.975 -3.726 1.435
Si -3.868 -3.825 0.103
Si -1.229 -2.592 -0.339
Si -3.560 -8.408 4.787
Si -2.365 0.371 0.123
Sn -7.816 -5.158 -0.959
Si -5.075 -5.647 5.561
N -3.053 -4.102 3.453
N -4.120 -2.581 -1.086
```

Energy of formation: -1.104 eV/atom
Uncorrected energy: -0.5782 Ry/atom
M_tot: 0.0 μB per cell